Here is crystalline KFeN at its relaxed geometry from the Materials Project. Energies are from PBE.

Cell: 9.8570 3.5284 6.6665 Å, 90.00 90.00 90.00°
With the nearest neighbours (Å) after each atom.
Space group Pnma (No. 62)
Inequivalent atoms, fractional coordinates:
K (0.1802, 0.2500, 0.0483) [4 per cell]  2 N 2.88-2.91
Fe (0.0223, 0.2500, 0.6096) [4 per cell]  3 N 1.80-1.87
N (0.0338, 0.7500, 0.6585) [4 per cell]  3 Fe 1.80-1.87

## Properties
- E (MP2020) (eV per cell) = -73.54
- ΔE_f (meV per atom) = -156
- uncorrected energy (eV per atom) = -6.008
- E above lowest polymorph (eV per atom) = 0.0000
- total magnetic moment (μB/cell) = 1.87